RbNdNb2O7 (PBE, optimized geometry); MP2020-corrected energy = -95.146 eV/cell; DFT formation energy = -3.1417 eV/atom; volume = 175.10 Å³ per cell; M_tot = 0.0 μB/cell
1.0
3.9239 0.0000 0.0000
0.0000 3.9239 0.0000
0.0000 0.0000 11.3725
Rb Nd Nb O
1 1 2 7
direct
0.0000 0.0000 0.0000
0.0000 0.0000 0.5000
0.5000 0.5000 0.3002
0.5000 0.5000 0.6998
0.0000 0.5000 0.3403
0.0000 0.5000 0.6597
0.5000 0.0000 0.3403
0.5000 0.0000 0.6597
0.5000 0.5000 0.1409
0.5000 0.5000 0.5000
0.5000 0.5000 0.8591

BaHfO3 (PBE, optimized geometry); MP2020-corrected energy = -45.654 eV/cell; DFT formation energy = -3.7867 eV/atom; volume = 74.33 Å³ per cell
1.0
4.2045 0.0000 0.0000
0.0000 4.2045 0.0000
0.0000 0.0000 4.2045
Ba Hf O
1 1 3
direct
0.0000 0.0000 0.0000
0.5000 0.5000 0.5000
0.0000 0.5000 0.5000
0.5000 0.0000 0.5000
0.5000 0.5000 0.0000

CdH8C2S2Br2N4 (PBE, optimized geometry); MP2020-corrected energy = -401.686 eV/cell; DFT formation energy = -0.4740 eV/atom; volume = 1113.66 Å³ per cell; M_tot = 0.0 μB/cell
1.0
13.1726 0.0000 0.0000
0.0000 13.8107 0.0000
0.0000 0.0000 6.1216
Cd H C S Br N
4 32 8 8 8 16
direct
0.1550 0.2500 0.2177
0.3450 0.7500 0.7177
0.6550 0.2500 0.2823
0.8450 0.7500 0.7823
0.1043 0.6169 0.3909
0.1043 0.8831 0.3909
0.1231 0.6516 0.1183
0.1231 0.8484 0.1183
0.1380 0.0815 0.8979
0.1380 0.4185 0.8979
0.1421 0.5436 0.8510
0.1421 0.9564 0.8510
0.3579 0.0436 0.3510
0.3579 0.4564 0.3510
0.3620 0.5815 0.3979
0.3620 0.9185 0.3979
0.3769 0.1516 0.6183
0.3769 0.3484 0.6183
0.3957 0.1169 0.8909
0.3957 0.3831 0.8909
0.6043 0.6169 0.1091
0.6043 0.8831 0.1091
0.6231 0.6516 0.3817
0.6231 0.8484 0.3817
0.6380 0.0815 0.6021
0.6380 0.4185 0.6021
0.6421 0.5436 0.6490
0.6421 0.9564 0.6490
0.8579 0.0436 0.1490
0.8579 0.4564 0.1490
0.8620 0.5815 0.1021
0.8620 0.9185 0.1021
0.8769 0.1516 0.8817
0.8769 0.3484 0.8817
0.8957 0.1169 0.6091
0.8957 0.3831 0.6091
0.1200 0.5056 0.1695
0.1200 0.9944 0.1695
0.3800 0.0056 0.6695
0.3800 0.4944 0.6695
0.6200 0.5056 0.3305
0.6200 0.9944 0.3305
0.8800 0.0056 0.8305
0.8800 0.4944 0.8305
0.1044 0.0824 0.3662
0.1044 0.4176 0.3662
0.3956 0.5824 0.8662
0.3956 0.9176 0.8662
0.6044 0.0824 0.1338
0.6044 0.4176 0.1338
0.8956 0.5824 0.6338
0.8956 0.9176 0.6338
0.1225 0.2500 0.7863
0.1387 0.7500 0.7448
0.3613 0.2500 0.2448
0.3775 0.7500 0.2863
0.6225 0.2500 0.7137
0.6387 0.7500 0.7552
0.8613 0.2500 0.2552
0.8775 0.7500 0.2137
0.1163 0.5981 0.2323
0.1163 0.9019 0.2323
0.1356 0.0126 0.9579
0.1356 0.4874 0.9579
0.3644 0.5126 0.4579
0.3644 0.9874 0.4579
0.3837 0.0981 0.7323
0.3837 0.4019 0.7323
0.6163 0.5981 0.2677
0.6163 0.9019 0.2677
0.6356 0.0126 0.5421
0.6356 0.4874 0.5421
0.8644 0.5126 0.0421
0.8644 0.9874 0.0421
0.8837 0.0981 0.7677
0.8837 0.4019 0.7677

YHo3 (PBE, optimized geometry); DFT formation energy = 0.0116 eV/atom; relative energy among the computed polymorphs = 0 meV per atom; volume = 254.99 Å³ per cell
1.0
7.2233 0.0000 0.0000
-3.6116 6.2555 0.0000
0.0000 0.0000 5.6432
Y Ho
2 6
direct
0.3333 0.6667 0.2500
0.6667 0.3333 0.7500
0.1660 0.3319 0.7500
0.1660 0.8340 0.7500
0.3319 0.1660 0.2500
0.6681 0.8340 0.7500
0.8340 0.1660 0.2500
0.8340 0.6681 0.2500

K2H6Pt (PBE, optimized geometry); DFT formation energy = -0.3935 eV/atom; volume = 138.68 Å³ per cell
1.0
0.0000 4.1083 4.1083
4.1083 0.0000 4.1083
4.1083 4.1083 0.0000
K H Pt
2 6 1
direct
0.2500 0.2500 0.2500
0.7500 0.7500 0.7500
0.2017 0.2017 0.7983
0.2017 0.7983 0.2017
0.2017 0.7983 0.7983
0.7983 0.2017 0.2017
0.7983 0.2017 0.7983
0.7983 0.7983 0.2017
0.0000 0.0000 0.0000

Sr2CoN2 (PBE, optimized geometry); MP2020-corrected energy = -472.792 eV/cell; DFT formation energy = -0.4778 eV/atom; volume = 1592.08 Å³ per cell; M_tot = 8.9 μB/cell
1.0
8.4324 0.0000 0.0000
0.0000 16.5866 0.0000
-2.0681 0.0000 11.3830
Sr Co N
32 16 32
direct
0.0000 0.0000 0.0000
0.0000 0.5000 0.0000
0.0503 0.0895 0.7425
0.0503 0.4105 0.7425
0.0866 0.1329 0.3524
0.0866 0.3671 0.3524
0.1614 0.7500 0.2404
0.2204 0.7500 0.8304
0.3055 0.1333 0.0737
0.3055 0.3667 0.0737
0.3167 0.5602 0.5442
0.3167 0.9398 0.5442
0.3576 0.6078 0.0922
0.3576 0.8922 0.0922
0.4091 0.1489 0.6205
0.4091 0.3511 0.6205
0.4246 0.2500 0.3474
0.5754 0.7500 0.6526
0.5909 0.6489 0.3795
0.5909 0.8511 0.3795
0.6424 0.1078 0.9078
0.6424 0.3922 0.9078
0.6833 0.0602 0.4558
0.6833 0.4398 0.4558
0.6945 0.6333 0.9263
0.6945 0.8667 0.9263
0.7796 0.2500 0.1696
0.8386 0.2500 0.7596
0.9134 0.6329 0.6476
0.9134 0.8671 0.6476
0.9497 0.5895 0.2575
0.9497 0.9105 0.2575
0.0254 0.2500 0.0174
0.0804 0.2500 0.5751
0.1908 0.7500 0.5073
0.3437 0.5362 0.8173
0.3437 0.9638 0.8173
0.3553 0.0149 0.3000
0.3553 0.4851 0.3000
0.3587 0.2500 0.8253
0.6413 0.7500 0.1747
0.6447 0.5149 0.7000
0.6447 0.9851 0.7000
0.6563 0.0362 0.1827
0.6563 0.4638 0.1827
0.8092 0.2500 0.4927
0.9196 0.7500 0.4249
0.9746 0.7500 0.9826
0.0091 0.6594 0.0605
0.0091 0.8406 0.0605
0.0789 0.6621 0.4625
0.0789 0.8379 0.4625
0.1404 0.2500 0.1693
0.1762 0.0069 0.1957
0.1762 0.4931 0.1957
0.1829 0.2500 0.7226
0.2341 0.2500 0.4805
0.3716 0.0792 0.4250
0.3716 0.4208 0.4250
0.3806 0.6281 0.8816
0.3806 0.8719 0.8816
0.4409 0.7500 0.1958
0.4623 0.0161 0.7377
0.4623 0.4839 0.7377
0.5377 0.5161 0.2623
0.5377 0.9839 0.2623
0.5591 0.2500 0.8042
0.6194 0.1281 0.1184
0.6194 0.3719 0.1184
0.6284 0.5792 0.5750
0.6284 0.9208 0.5750
0.7659 0.7500 0.5195
0.8171 0.7500 0.2774
0.8238 0.5069 0.8043
0.8238 0.9931 0.8043
0.8596 0.7500 0.8307
0.9211 0.1621 0.5375
0.9211 0.3379 0.5375
0.9909 0.1594 0.9395
0.9909 0.3406 0.9395